Material: TmNiGe
Method: DFT, r2SCAN
State: optimized geometry

V   16.85 Å³ per atom
Final energy   -21.19 eV per atom
Magnetization   0.0 μB per cell
DFT formation energy   -0.86 eV/atom
Space group   Pnma, No. 62

Cell and atoms, written as POSCAR:
```
TmNiGe
1.0
4.1603 0.0000 0.0000
0.0000 6.7696 0.0000
0.0000 0.0000 7.1815
Ni Tm Ge
4 4 4
Direct
0.2500 0.8084 0.5812
0.7500 0.1916 0.4188
0.2500 0.3084 0.9188
0.7500 0.6916 0.0812
0.2500 0.0071 0.2077
0.7500 0.9929 0.7923
0.2500 0.5071 0.2923
0.7500 0.4929 0.7077
0.2500 0.6992 0.9107
0.2500 0.1992 0.5893
0.7500 0.3008 0.0893
0.7500 0.8008 0.4107
```

***

Material: YNi2Ge2
Method: DFT, r2SCAN
State: optimized geometry

V   15.89 Å³ per atom
Final energy   -15.12 eV per atom
Magnetization   0.0 μB per cell
DFT formation energy   -0.72 eV/atom
Space group   I4/mmm, No. 139

Cell and atoms, written as POSCAR:
```
YNi2Ge2
1.0
-0.2493 2.1192 3.4387
-3.5181 1.5789 -1.2281
-0.4955 -5.5233 0.9865
Y Ge Ni
1 2 2
Direct
0.0000 0.0000 0.0000
0.3706 0.3706 0.7413
0.6294 0.6294 0.2587
0.2500 0.7500 0.5000
0.7500 0.2500 0.5000
```

***

Material: YNiGe2
Method: DFT, r2SCAN
State: optimized geometry

V   17.58 Å³ per atom
Final energy   -15.76 eV per atom
Magnetization   0.0 μB per cell
DFT formation energy   -0.75 eV/atom
Space group   Cmcm, No. 63

Cell and atoms, written as POSCAR:
```
YNiGe2
1.0
-8.1354 2.7202 0.6064
6.1103 -5.9990 0.7931
0.6949 1.2180 3.8593
Y Ni Ge
2 2 4
Direct
0.1082 0.8918 0.7500
0.8918 0.1082 0.2500
0.6790 0.3210 0.2500
0.3210 0.6790 0.7500
0.4577 0.5423 0.7500
0.7494 0.2506 0.7500
0.5423 0.4577 0.2500
0.2506 0.7494 0.2500
```

***

Material: YNi5Ge3
Method: DFT, r2SCAN
State: optimized geometry

V   13.67 Å³ per atom
Final energy   -14.06 eV per atom
Magnetization   0.0 μB per cell
DFT formation energy   -0.53 eV/atom
Space group   Pnma, No. 62

Cell and atoms, written as POSCAR:
```
YNi5Ge3
1.0
-3.3197 1.0160 -1.6122
-3.2149 -4.7542 3.6237
-2.9039 12.5499 13.8888
Ge Ni Y
12 20 4
Direct
0.2500 0.8511 0.5748
0.2500 0.0897 0.0864
0.2500 0.6489 0.0748
0.7500 0.8820 0.2364
0.7500 0.1489 0.4252
0.7500 0.9103 0.9136
0.7500 0.3511 0.9252
0.7500 0.6180 0.7364
0.2500 0.4103 0.5864
0.2500 0.1180 0.7636
0.7500 0.5897 0.4136
0.2500 0.3820 0.2636
0.7500 0.1888 0.3001
0.7500 0.8556 0.1122
0.7500 0.3841 0.5133
0.7500 0.6444 0.6122
0.7500 0.8649 0.4954
0.7500 0.1159 0.0133
0.7500 0.3112 0.8001
0.7500 0.5733 0.2922
0.2500 0.6888 0.1999
0.2500 0.6159 0.4867
0.2500 0.8841 0.9867
0.2500 0.3556 0.3878
0.2500 0.8112 0.6999
0.2500 0.3649 0.0046
0.2500 0.0733 0.2078
0.2500 0.1351 0.5046
0.2500 0.1444 0.8878
0.7500 0.6351 0.9954
0.2500 0.4267 0.7078
0.7500 0.9267 0.7922
0.7500 0.1214 0.6448
0.2500 0.8786 0.3552
0.2500 0.6214 0.8552
0.7500 0.3786 0.1448
```

***

Material: Yb2NiGe6
Method: DFT, r2SCAN
State: optimized geometry

V   18.44 Å³ per atom
Final energy   -19.20 eV per atom
Magnetization   0.0 μB per cell
DFT formation energy   -0.51 eV/atom
Space group   Pm, No. 6

Cell and atoms, written as POSCAR:
```
Yb2NiGe6
1.0
0.0000 3.9411 0.0002
3.9855 0.0000 0.0000
0.0000 -1.9711 -10.5652
Ge Yb Ni
6 2 1
Direct
0.6634 0.0000 0.3267
0.8812 0.0000 0.7611
0.9976 0.0000 0.9965
0.2377 0.0000 0.4750
0.4993 0.5000 0.9975
0.3814 0.5000 0.7636
0.7782 0.5000 0.5563
0.1128 0.5000 0.2249
0.5553 0.0000 0.1124
```

***

Material: YbNi2Ge2
Method: DFT, r2SCAN
State: optimized geometry

V   15.44 Å³ per atom
Final energy   -18.34 eV per atom
Magnetization   0.0 μB per cell
DFT formation energy   -0.69 eV/atom
Space group   I4/mmm, No. 139

Cell and atoms, written as POSCAR:
```
YbNi2Ge2
1.0
-1.9955 1.9955 4.8472
1.9955 -1.9955 4.8472
1.9955 1.9955 -4.8472
Ni Yb Ge
2 1 2
Direct
0.7500 0.2500 0.5000
0.2500 0.7500 0.5000
0.0000 0.0000 0.0000
0.3727 0.3727 0.0000
0.6273 0.6273 0.0000
```

***

Material: Zr6Ni16Ge7
Method: DFT, r2SCAN
State: optimized geometry

V   13.34 Å³ per atom
Final energy   -15.27 eV per atom
Magnetization   0.0 μB per cell
DFT formation energy   -0.61 eV/atom
Space group   Fm-3m, No. 225

Cell and atoms, written as POSCAR:
```
Zr6Ni16Ge7
1.0
1.2023 2.6197 7.6534
-6.3228 0.6200 5.1497
-0.6985 -5.2128 6.2627
Zr Ge Ni
6 7 16
Direct
0.7925 0.2075 0.2075
0.7925 0.7925 0.2075
0.7925 0.2075 0.7925
0.2075 0.2075 0.7925
0.2075 0.7925 0.2075
0.2075 0.7925 0.7925
0.5000 0.0000 0.5000
0.0000 0.0000 0.5000
0.5000 0.0000 0.0000
0.5000 0.5000 0.5000
0.0000 0.5000 0.0000
0.0000 0.5000 0.5000
0.5000 0.5000 0.0000
0.5081 0.8306 0.8306
0.8564 0.3812 0.3812
0.1694 0.1694 0.4919
0.8306 0.8306 0.5081
0.3812 0.3812 0.8564
0.8306 0.5081 0.8306
0.3812 0.8564 0.3812
0.6188 0.6188 0.1436
0.8306 0.8306 0.8306
0.1694 0.4919 0.1694
0.4919 0.1694 0.1694
0.1694 0.1694 0.1694
0.3812 0.3812 0.3812
0.1436 0.6188 0.6188
0.6188 0.6188 0.6188
0.6188 0.1436 0.6188
```

***

Material: Ge2O3
Method: DFT, r2SCAN
State: optimized geometry

V   10.41 Å³ per atom
Final energy   -10.30 eV per atom
Magnetization   0.0 μB per cell
DFT formation energy   -1.17 eV/atom
Space group   Pm-3m, No. 221

Cell and atoms, written as POSCAR:
```
Ge2O3
1.0
-0.9778 2.2240 2.8360
0.1951 -2.9015 2.3427
3.5987 0.7616 0.6435
O Ge
3 2
Direct
0.5000 0.0000 0.5000
0.0000 0.5000 0.5000
0.5000 0.5000 0.0000
0.5000 0.5000 0.5000
0.0000 0.0000 0.0000
```

***

Material: GeP2O7
Method: DFT, r2SCAN
State: optimized geometry

V   11.74 Å³ per atom
Final energy   -9.59 eV per atom
Magnetization   0.0 μB per cell
DFT formation energy   -2.22 eV/atom
Space group   P-1, No. 2

Cell and atoms, written as POSCAR:
```
GeP2O7
1.0
-0.1309 -3.4724 3.1187
5.3537 3.7191 1.6977
-4.7159 4.4898 4.2162
O P Ge
14 4 2
Direct
0.6950 0.0332 0.3625
0.3003 0.5956 0.6745
0.3050 0.9668 0.6375
0.6150 0.3288 0.6588
0.3850 0.6712 0.3412
0.9575 0.2333 0.1229
0.2068 0.9350 0.1926
0.6480 0.8328 0.0808
0.7932 0.0650 0.8074
0.6997 0.4044 0.3255
0.0425 0.7667 0.8771
0.8458 0.7050 0.5619
0.3520 0.1672 0.9192
0.1542 0.2950 0.4381
0.8878 0.2540 0.3107
0.5212 0.1394 0.7627
0.1122 0.7460 0.6893
0.4788 0.8606 0.2373
0.0000 0.0000 0.0000
0.5000 0.5000 0.5000
```

***

Material: Ge5P6O25
Method: DFT, r2SCAN
State: optimized geometry

V   12.84 Å³ per atom
Final energy   -9.72 eV per atom
Magnetization   0.0 μB per cell
DFT formation energy   -2.15 eV/atom
Space group   R-3, No. 148

Cell and atoms, written as POSCAR:
```
Ge5P6O25
1.0
-6.4462 -0.0097 6.9978
-5.0910 -7.1621 3.6483
0.3171 -3.9836 8.6345
P O Ge
6 25 5
Direct
0.8245 0.0684 0.3806
0.0684 0.3806 0.8245
0.6194 0.1755 0.9316
0.9316 0.6194 0.1755
0.3806 0.8245 0.0684
0.1755 0.9316 0.6194
0.0358 0.7390 0.1006
0.0932 0.4331 0.1343
0.4074 0.8100 0.5640
0.9117 0.2218 0.2662
0.2662 0.9117 0.2218
0.5000 0.5000 0.5000
0.4360 0.5926 0.1900
0.8657 0.9068 0.5669
0.5926 0.1900 0.4360
0.9642 0.2610 0.8994
0.4331 0.1343 0.0932
0.8994 0.9642 0.2610
0.5640 0.4074 0.8100
0.2218 0.2662 0.9117
0.2610 0.8994 0.9642
0.1343 0.0932 0.4331
0.1900 0.4360 0.5926
0.0883 0.7782 0.7338
0.1006 0.0358 0.7390
0.7782 0.7338 0.0883
0.7338 0.0883 0.7782
0.5669 0.8657 0.9068
0.9068 0.5669 0.8657
0.7390 0.1006 0.0358
0.8100 0.5640 0.4074
0.8232 0.8232 0.8232
0.4318 0.4318 0.4318
0.1768 0.1768 0.1768
0.5682 0.5682 0.5682
0.0000 0.0000 0.0000
```

***

Material: GePbO3
Method: DFT, r2SCAN
State: optimized geometry

V   14.29 Å³ per atom
Final energy   -19.26 eV per atom
Magnetization   0.0 μB per cell
DFT formation energy   -1.65 eV/atom
Space group   R-3, No. 148

Cell and atoms, written as POSCAR:
```
GePbO3
1.0
2.5334 1.4626 6.4259
-2.5334 1.4626 6.4259
0.0000 -2.9253 6.4259
O Pb Ge
6 2 2
Direct
0.9330 0.5540 0.1756
0.0670 0.4460 0.8244
0.8244 0.0670 0.4460
0.4460 0.8244 0.0670
0.1756 0.9330 0.5540
0.5540 0.1756 0.9330
0.3851 0.3851 0.3851
0.6149 0.6149 0.6149
0.1664 0.1664 0.1664
0.8336 0.8336 0.8336
```

***

Material: GePb3O5
Method: DFT, r2SCAN
State: optimized geometry

V   17.11 Å³ per atom
Final energy   -25.10 eV per atom
Magnetization   0.0 μB per cell
DFT formation energy   -1.48 eV/atom
Space group   P2_1, No. 4

Cell and atoms, written as POSCAR:
```
GePb3O5
1.0
10.5234 0.0000 0.0000
0.0000 5.3026 -0.0065
0.0000 0.3091 5.5184
O Pb Ge
10 6 2
Direct
0.1817 0.8389 0.1915
0.1601 0.8300 0.6992
0.2084 0.3051 0.4124
0.4074 0.9280 0.4721
0.5533 0.6218 0.0988
0.9074 0.0720 0.5279
0.0533 0.3782 0.9012
0.7084 0.6949 0.5876
0.6817 0.1611 0.8085
0.6601 0.1700 0.3008
0.5153 0.5125 0.5019
0.0003 0.9754 0.9539
0.0153 0.4875 0.4981
0.2496 0.5056 0.9834
0.7496 0.4944 0.0166
0.5003 0.0246 0.0461
0.2429 0.9788 0.4519
0.7429 0.0212 0.5481
```

***

Material: GePbO3
Method: DFT, r2SCAN
State: optimized geometry

V   17.13 Å³ per atom
Final energy   -19.27 eV per atom
Magnetization   0.0 μB per cell
DFT formation energy   -1.66 eV/atom
Space group   R-3, No. 148

Cell and atoms, written as POSCAR:
```
GePbO3
1.0
5.1247 -7.8167 0.0000
5.1247 7.8167 0.0000
-6.7982 0.0000 6.4147
Ge O Pb
6 18 6
Direct
0.7435 0.3456 0.4800
0.6544 0.5200 0.2565
0.4800 0.7435 0.3456
0.5200 0.2565 0.6544
0.3456 0.4800 0.7435
0.2565 0.6544 0.5200
0.5207 0.2187 0.4529
0.9694 0.4626 0.7161
0.4626 0.7161 0.9694
0.8470 0.7376 0.3168
0.4793 0.7813 0.5471
0.3168 0.8470 0.7376
0.1530 0.2624 0.6832
0.4529 0.5207 0.2187
0.2624 0.6832 0.1530
0.7813 0.5471 0.4793
0.2187 0.4529 0.5207
0.7376 0.3168 0.8470
0.2839 0.0306 0.5374
0.5374 0.2839 0.0306
0.5471 0.4793 0.7813
0.7161 0.9694 0.4626
0.0306 0.5374 0.2839
0.6832 0.1530 0.2624
0.1686 0.0089 0.7082
0.9911 0.2918 0.8314
0.7082 0.1686 0.0089
0.0089 0.7082 0.1686
0.8314 0.9911 0.2918
0.2918 0.8314 0.9911
```

***

Material: Ge4PbO9
Method: DFT, r2SCAN
State: optimized geometry

V   12.77 Å³ per atom
Final energy   -13.57 eV per atom
Magnetization   0.0 μB per cell
DFT formation energy   -1.75 eV/atom
Space group   C2, No. 5

Cell and atoms, written as POSCAR:
```
Ge4PbO9
1.0
-4.1764 1.2237 -1.6639
3.8277 -0.4966 -5.6249
-1.2506 -5.9350 3.1223
O Pb Ge
9 1 4
Direct
0.1580 0.0771 0.7129
0.3942 0.5403 0.9073
0.0000 0.7539 0.2461
0.6058 0.0927 0.4597
0.1353 0.2880 0.4469
0.5147 0.3789 0.2293
0.8420 0.2871 0.9229
0.8647 0.5531 0.7120
0.4853 0.7707 0.6211
0.0000 0.9980 0.0020
0.5000 0.4877 0.5123
0.6810 0.4872 0.0692
0.3190 0.9308 0.5128
0.0000 0.3081 0.6919
```